Material: Lu6TeO12
Method: DFT, GGA-PBE
State: relaxed

Values from the calculation:
E_form (eV/atom): -3.6518

Lattice parameters (Å, degrees): 9.6752 9.6752 9.1577 90.00 90.00 120.00
Space group R-3 (No. 148, hexagonal axes)
Symmetry-distinct sites (fractional):
Lu: 0.0366 0.7867 0.1420 (multiplicity 18)
Te: 0.0000 0.0000 0.5000 (multiplicity 3)
O: 0.0284 0.8081 0.8982 (multiplicity 18)
O: 0.0305 0.8451 0.3857 (multiplicity 18)

***

Material: Pm2MgSe4
Method: DFT, GGA-PBE
State: relaxed

Values from the calculation:
ΔE to the lowest computed polymorph (eV per atom): 0.008
E_form (eV/atom): -1.9334

Lattice parameters (Å, degrees): 11.940 11.940 11.940 90.00 90.00 90.00
Space group Fd-3m (No. 227, origin choice 2)
Symmetry-distinct sites (fractional):
Pm: 0.000 0.000 0.000 (multiplicity 16)
Mg: 0.125 0.125 0.625 (multiplicity 8)
Se: 0.003 0.003 0.247 (multiplicity 32)

***

Material: Sr2B4Rh5
Method: DFT, GGA-PBE
State: relaxed

Values from the calculation:
E_form (eV/atom): -0.5547

Lattice parameters (Å, degrees): 5.590 10.143 11.334 90.00 90.00 90.00
Space group Fmmm (No. 69)
Symmetry-distinct sites (fractional):
Sr: 0.000 0.000 0.144 (multiplicity 8)
B: 0.000 0.165 0.372 (multiplicity 16)
Rh: 0.000 0.000 0.500 (multiplicity 4)
Rh: 0.250 0.250 0.000 (multiplicity 8)
Rh: 0.250 0.250 0.250 (multiplicity 8)

***

Material: Zr2SbP
Method: DFT, GGA-PBE
State: relaxed

Values from the calculation:
E_form (eV/atom): -1.1329

Lattice parameters (Å, degrees): 3.8397 3.8397 13.4327 90.00 90.00 120.00
Space group P6_3/mmc (No. 194)
Symmetry-distinct sites (fractional):
Zr: 0.3333 0.6667 0.1026 (multiplicity 4)
Sb: 0.3333 0.6667 0.7500 (multiplicity 2)
P: 0.0000 0.0000 0.0000 (multiplicity 2)

***

Material: Hf2CoCu
Method: DFT, GGA-PBE
State: relaxed

Values from the calculation:
E_form (eV/atom): -0.2486

Lattice parameters (Å, degrees): 6.376 6.376 6.376 90.00 90.00 90.00
Space group Fm-3m (No. 225)
Symmetry-distinct sites (fractional):
Hf: 0.250 0.250 0.250 (multiplicity 8)
Co: 0.000 0.000 0.000 (multiplicity 4)
Cu: 0.000 0.000 0.500 (multiplicity 4)

***

Material: Na5La2Zr2SiP5O24
Method: DFT, GGA-PBE
State: relaxed

Values from the calculation:
E_form (eV/atom): -3.0786

Lattice parameters (Å, degrees): 9.296 9.359 23.572 90.02 90.13 119.66
Space group P1 (No. 1)
Symmetry-distinct sites (fractional):
Na: 0.000 0.000 0.000 (multiplicity 1)
Na: 0.000 0.968 0.495 (multiplicity 1)
Na: 0.031 0.311 0.584 (multiplicity 1)
Na: 0.295 0.954 0.586 (multiplicity 1)
Na: 0.335 0.023 0.915 (multiplicity 1)
Na: 0.342 0.662 0.155 (multiplicity 1)
Na: 0.344 0.670 0.665 (multiplicity 1)
Na: 0.360 0.343 0.751 (multiplicity 1)
Na: 0.360 0.978 0.246 (multiplicity 1)
Na: 0.636 0.634 0.244 (multiplicity 1)
Na: 0.665 0.326 0.333 (multiplicity 1)
Na: 0.680 0.314 0.828 (multiplicity 1)
Na: 0.688 0.008 0.413 (multiplicity 1)
Na: 0.691 0.641 0.912 (multiplicity 1)
Na: 0.998 0.341 0.248 (multiplicity 1)
La: 0.327 0.646 0.320 (multiplicity 1)
La: 0.338 0.646 0.512 (multiplicity 1)
La: 0.665 0.332 0.480 (multiplicity 1)
La: 0.672 0.315 0.976 (multiplicity 1)
La: 0.986 0.966 0.657 (multiplicity 1)
La: 0.993 0.979 0.141 (multiplicity 1)
Zr: 0.002 0.987 0.344 (multiplicity 1)
Zr: 0.006 0.994 0.846 (multiplicity 1)
Zr: 0.327 0.651 0.812 (multiplicity 1)
Zr: 0.329 0.640 0.015 (multiplicity 1)
Zr: 0.665 0.311 0.175 (multiplicity 1)
Zr: 0.667 0.317 0.686 (multiplicity 1)
Si: 0.307 0.986 0.747 (multiplicity 1)
Si: 0.320 0.355 0.910 (multiplicity 1)
Si: 0.699 0.991 0.247 (multiplicity 1)
P: 0.019 0.323 0.411 (multiplicity 1)
P: 0.052 0.666 0.911 (multiplicity 1)
P: 0.304 0.276 0.245 (multiplicity 1)
P: 0.324 0.960 0.412 (multiplicity 1)
P: 0.365 0.315 0.588 (multiplicity 1)
P: 0.375 0.008 0.077 (multiplicity 1)
P: 0.619 0.923 0.912 (multiplicity 1)
P: 0.648 0.604 0.078 (multiplicity 1)
P: 0.659 0.667 0.406 (multiplicity 1)
P: 0.663 0.027 0.582 (multiplicity 1)
P: 0.690 0.673 0.752 (multiplicity 1)
P: 0.967 0.611 0.585 (multiplicity 1)
P: 0.976 0.336 0.081 (multiplicity 1)
P: 0.985 0.678 0.246 (multiplicity 1)
P: 0.999 0.287 0.747 (multiplicity 1)
O: 0.000 0.790 0.586 (multiplicity 1)
O: 0.004 0.188 0.084 (multiplicity 1)
O: 0.011 0.153 0.407 (multiplicity 1)
O: 0.029 0.787 0.194 (multiplicity 1)
O: 0.038 0.228 0.692 (multiplicity 1)
O: 0.043 0.828 0.905 (multiplicity 1)
O: 0.098 0.421 0.357 (multiplicity 1)
O: 0.120 0.413 0.465 (multiplicity 1)
O: 0.125 0.635 0.255 (multiplicity 1)
O: 0.136 0.613 0.587 (multiplicity 1)
O: 0.143 0.650 0.860 (multiplicity 1)
O: 0.144 0.500 0.078 (multiplicity 1)
O: 0.152 0.456 0.760 (multiplicity 1)
O: 0.156 0.167 0.905 (multiplicity 1)
O: 0.156 0.682 0.965 (multiplicity 1)
O: 0.167 0.976 0.405 (multiplicity 1)
O: 0.191 0.159 0.590 (multiplicity 1)
O: 0.196 0.013 0.798 (multiplicity 1)
O: 0.196 0.203 0.193 (multiplicity 1)
O: 0.202 0.986 0.083 (multiplicity 1)
O: 0.212 0.161 0.297 (multiplicity 1)
O: 0.213 0.956 0.687 (multiplicity 1)
O: 0.306 0.455 0.966 (multiplicity 1)
O: 0.306 0.857 0.466 (multiplicity 1)
O: 0.334 0.452 0.254 (multiplicity 1)
O: 0.335 0.830 0.759 (multiplicity 1)
O: 0.336 0.465 0.855 (multiplicity 1)
O: 0.344 0.469 0.587 (multiplicity 1)
O: 0.345 0.876 0.359 (multiplicity 1)
O: 0.370 0.840 0.076 (multiplicity 1)
O: 0.445 0.301 0.533 (multiplicity 1)
O: 0.452 0.101 0.022 (multiplicity 1)
O: 0.474 0.324 0.640 (multiplicity 1)
O: 0.475 0.283 0.240 (multiplicity 1)
O: 0.482 0.130 0.414 (multiplicity 1)
O: 0.484 0.333 0.911 (multiplicity 1)
O: 0.485 0.613 0.077 (multiplicity 1)
O: 0.486 0.162 0.744 (multiplicity 1)
O: 0.489 0.113 0.130 (multiplicity 1)
O: 0.499 0.860 0.585 (multiplicity 1)
O: 0.508 0.842 0.253 (multiplicity 1)
O: 0.510 0.637 0.761 (multiplicity 1)
O: 0.512 0.831 0.860 (multiplicity 1)
O: 0.534 0.820 0.966 (multiplicity 1)
O: 0.565 0.651 0.350 (multiplicity 1)
O: 0.565 0.688 0.457 (multiplicity 1)
O: 0.630 0.092 0.912 (multiplicity 1)
O: 0.640 0.496 0.131 (multiplicity 1)
O: 0.660 0.139 0.631 (multiplicity 1)
O: 0.661 0.524 0.023 (multiplicity 1)
O: 0.672 0.109 0.524 (multiplicity 1)
O: 0.677 0.500 0.746 (multiplicity 1)
O: 0.684 0.519 0.410 (multiplicity 1)
O: 0.697 0.167 0.238 (multiplicity 1)
O: 0.749 0.769 0.697 (multiplicity 1)
O: 0.781 0.946 0.196 (multiplicity 1)
O: 0.792 0.934 0.906 (multiplicity 1)
O: 0.797 0.777 0.081 (multiplicity 1)
O: 0.807 0.770 0.803 (multiplicity 1)
O: 0.817 0.513 0.240 (multiplicity 1)
O: 0.821 0.018 0.304 (multiplicity 1)
O: 0.822 0.015 0.587 (multiplicity 1)
O: 0.827 0.830 0.404 (multiplicity 1)
O: 0.838 0.289 0.413 (multiplicity 1)
O: 0.841 0.302 0.743 (multiplicity 1)
O: 0.857 0.505 0.635 (multiplicity 1)
O: 0.873 0.521 0.912 (multiplicity 1)
O: 0.876 0.318 0.028 (multiplicity 1)
O: 0.878 0.344 0.134 (multiplicity 1)
O: 0.881 0.533 0.529 (multiplicity 1)
O: 0.969 0.775 0.298 (multiplicity 1)
O: 0.975 0.161 0.795 (multiplicity 1)

***

| no. | energy (eV per atom) | mass density (kg/m³) |
| --- | --- | --- |
| 1 | -7.936 | 9189 |
| 2 | -5.247 | 4917 |
| 3 | -6.638 | 7576 |
| 4 | -7.792 | 6490 |
| 5 | -8.029 | 12283 |
| 6 | -7.395 | 3193 |